1.
Mg6VGa | PBE | optimized geometry

The structure in POSCAR format:
```
Mg6VGa
1.0
-2.383 4.331 0.797
-5.168 -2.999 0.845
2.168 -0.755 10.579
Mg V Ga
12 2 2
Direct
0.500 0.249 0.417
0.500 0.751 0.417
0.000 0.755 0.086
0.000 0.245 0.086
0.000 0.000 0.328
0.000 0.500 0.331
0.500 0.749 0.917
0.500 0.251 0.917
0.000 0.255 0.586
0.000 0.745 0.586
0.000 0.500 0.828
0.000 0.000 0.831
0.500 0.000 0.168
0.500 0.500 0.668
0.500 0.500 0.166
0.500 0.000 0.666
```

Calculated values
- Excess energy over the best structure of this formula in the dataset: 0.6 kJ per mole of atoms
- Energy of formation: 109 meV/atom
- M_tot: 5.85 Bohr magnetons per cell

2.
Al2O3 | PBE | optimized geometry

The structure in POSCAR format:
```
Al2O3
1.0
9.871 0.264 -0.402
0.262 9.971 -0.104
-0.402 -0.119 11.317
Al O
40 60
Direct
0.274 0.621 0.341
0.610 0.961 0.961
0.932 0.681 0.672
0.171 0.369 0.923
0.319 0.933 0.916
0.847 0.173 0.614
0.282 0.250 0.642
0.857 0.040 0.081
0.321 0.887 0.205
0.013 0.415 0.557
0.890 0.534 0.027
0.671 0.294 0.963
0.769 0.310 0.387
0.486 0.803 0.653
0.039 0.924 0.760
0.916 0.310 0.153
0.879 0.410 0.785
0.978 0.104 0.340
0.546 0.001 0.304
0.398 0.185 0.061
0.497 0.272 0.289
0.869 0.798 0.939
0.714 0.800 0.477
0.027 0.811 0.461
0.217 0.696 0.609
0.276 0.968 0.483
0.721 0.985 0.705
0.416 0.453 0.074
0.600 0.573 0.285
0.666 0.563 0.805
0.175 0.674 0.050
0.574 0.538 0.516
0.399 0.699 0.862
0.217 0.315 0.378
0.107 0.072 0.002
0.991 0.545 0.317
0.388 0.452 0.759
0.818 0.825 0.239
0.586 0.739 0.105
0.541 0.239 0.534
0.498 0.858 0.196
0.220 0.219 0.997
0.879 0.782 0.545
0.561 0.627 0.659
0.996 0.427 0.910
0.939 0.314 0.668
0.327 0.092 0.588
0.713 0.376 0.826
0.912 0.978 0.229
0.497 0.588 0.140
0.447 0.051 0.953
0.092 0.969 0.429
0.671 0.145 0.641
0.659 0.375 0.519
0.630 0.878 0.599
0.499 0.541 0.866
0.995 0.683 0.033
0.708 0.120 0.996
0.817 0.562 0.715
0.371 0.338 0.178
0.784 0.389 0.052
0.898 0.029 0.700
0.244 0.722 0.204
0.495 0.319 0.989
0.706 0.908 0.839
0.402 0.853 0.780
0.674 0.638 0.432
0.169 0.482 0.329
0.165 0.324 0.533
0.259 0.761 0.943
0.504 0.123 0.190
0.251 0.508 0.004
0.911 0.443 0.420
0.061 0.569 0.624
0.952 0.781 0.801
0.169 0.689 0.452
0.841 0.227 0.262
0.444 0.575 0.389
0.246 0.977 0.082
0.766 0.638 0.932
0.950 0.725 0.325
0.110 0.205 0.304
0.160 0.011 0.852
0.442 0.336 0.649
0.883 0.174 0.467
0.364 0.968 0.348
0.703 0.900 0.350
0.631 0.395 0.292
0.307 0.612 0.727
0.350 0.812 0.548
0.106 0.835 0.637
0.962 0.950 0.979
0.970 0.477 0.171
0.520 0.792 0.966
0.250 0.344 0.783
0.977 0.174 0.067
0.721 0.672 0.205
0.599 0.151 0.399
0.393 0.293 0.416
0.745 0.875 0.074
```

Calculated values
- E (MP2020): -7.740 eV/atom
- Energy of formation: -3273 meV/atom
- Space group: P1, No. 1
- M_tot: 0.00 Bohr magnetons per cell

3.
CuBH4ClO4 | PBE | optimized geometry

The structure in POSCAR format:
```
CuBH4ClO4
1.0
0.000 0.000 5.776
6.188 0.000 0.000
0.000 6.188 0.000
Cu B H Cl O
2 2 8 2 8
Direct
0.617 0.000 0.500
0.383 0.500 0.000
0.500 0.500 0.500
0.500 0.000 0.000
0.750 0.654 0.324
0.750 0.346 0.676
0.250 0.154 0.824
0.250 0.846 0.176
0.250 0.324 0.346
0.250 0.676 0.654
0.750 0.824 0.846
0.750 0.176 0.154
0.150 0.000 0.500
0.850 0.500 0.000
0.652 0.049 0.186
0.652 0.951 0.814
0.348 0.549 0.686
0.348 0.451 0.314
0.348 0.186 0.951
0.348 0.814 0.049
0.652 0.686 0.451
0.652 0.314 0.549
```

Calculated values
- E (MP2020): -5.641 eV/atom
- Energy of formation: -1460 meV/atom
- Space group: P4/n, No. 85
- M_tot: 2.00 Bohr magnetons per cell

4.
YInPt2 | PBE | optimized geometry

The structure in POSCAR format:
```
YInPt2
1.0
-2.295 -3.974 0.000
-2.295 3.974 0.000
0.000 0.000 -9.074
Y In Pt
2 2 4
Direct
0.667 0.333 0.250
0.333 0.667 0.750
0.000 0.000 0.000
0.000 0.000 0.500
0.667 0.333 0.908
0.333 0.667 0.092
0.333 0.667 0.408
0.667 0.333 0.592
```

Calculated values
- Energy of formation: -952 meV/atom
- Space group: P6_3/mmc, No. 194

5.
Ca3Pt2 | PBE | optimized geometry

The structure in POSCAR format:
```
Ca3Pt2
1.0
-6.393 -3.864 -1.591
-0.361 -6.193 4.455
-5.103 1.201 5.554
Ca Pt
9 6
Direct
0.000 0.000 0.000
0.399 0.667 0.153
0.200 0.200 0.200
0.847 0.601 0.333
0.667 0.153 0.399
0.333 0.847 0.601
0.153 0.399 0.667
0.800 0.800 0.800
0.601 0.333 0.847
0.839 0.414 0.046
0.586 0.954 0.161
0.046 0.839 0.414
0.954 0.161 0.586
0.414 0.046 0.839
0.161 0.586 0.954
```

Calculated values
- Energy of formation: -854 meV/atom
- Space group: R-3, No. 148

6.
DyGe2Pd2 | PBE | optimized geometry

The structure in POSCAR format:
```
DyGe2Pd2
1.0
-2.143 2.143 5.074
2.143 -2.143 5.074
2.143 2.143 -5.074
Dy Ge Pd
1 2 2
Direct
0.000 0.000 0.000
0.620 0.620 0.000
0.380 0.380 0.000
0.250 0.750 0.500
0.750 0.250 0.500
```

Calculated values
- Energy of formation: -797 meV/atom
- Space group: I4/mmm, No. 139

7.
SnH6N2F4 | PBE | optimized geometry

The structure in POSCAR format:
```
SnH6N2F4
1.0
6.384 0.000 0.000
0.000 5.246 0.000
0.000 3.406 7.747
Sn H N F
2 12 4 8
Direct
0.500 0.000 0.500
0.000 0.000 0.000
0.265 0.539 0.572
0.235 0.539 0.072
0.735 0.461 0.428
0.765 0.461 0.928
0.123 0.816 0.455
0.377 0.816 0.955
0.877 0.184 0.545
0.623 0.184 0.045
0.151 0.728 0.669
0.349 0.728 0.169
0.849 0.272 0.331
0.651 0.272 0.831
0.224 0.737 0.558
0.276 0.737 0.058
0.776 0.263 0.442
0.724 0.263 0.942
0.687 0.663 0.576
0.813 0.663 0.076
0.313 0.337 0.424
0.187 0.337 0.924
0.499 0.009 0.259
0.001 0.009 0.759
0.501 0.991 0.741
0.999 0.991 0.241
```

Calculated values
- E (MP2020): -5.157 eV/atom
- Energy of formation: -1411 meV/atom
- Space group: P2_1/c, No. 14
- M_tot: 0.00 Bohr magnetons per cell

8.
NaSrPH18SO12 | PBE | optimized geometry

The structure in POSCAR format:
```
NaSrPH18SO12
1.0
-5.178 5.453 8.021
-2.793 -9.546 4.687
9.288 0.170 5.881
Na Sr P H S O
4 4 4 72 4 48
Direct
0.434 0.934 0.566
0.934 0.566 0.434
0.566 0.434 0.934
0.066 0.066 0.066
0.189 0.811 0.311
0.689 0.689 0.689
0.311 0.189 0.811
0.811 0.311 0.189
0.692 0.808 0.192
0.808 0.192 0.692
0.308 0.308 0.308
0.192 0.692 0.808
0.268 0.826 0.022
0.978 0.768 0.674
0.326 0.478 0.732
0.768 0.674 0.978
0.478 0.732 0.326
0.826 0.022 0.268
0.732 0.326 0.478
0.022 0.268 0.826
0.674 0.978 0.768
0.232 0.174 0.522
0.522 0.232 0.174
0.174 0.522 0.232
0.390 0.846 0.100
0.900 0.890 0.654
0.346 0.400 0.610
0.890 0.654 0.900
0.400 0.610 0.346
0.846 0.100 0.390
0.610 0.346 0.400
0.100 0.390 0.846
0.654 0.900 0.890
0.110 0.154 0.600
0.600 0.110 0.154
0.154 0.600 0.110
0.400 0.683 0.670
0.330 0.900 0.817
0.183 0.830 0.600
0.900 0.817 0.330
0.830 0.600 0.183
0.683 0.670 0.400
0.600 0.183 0.830
0.670 0.400 0.683
0.817 0.330 0.900
0.100 0.317 0.170
0.170 0.100 0.317
0.317 0.170 0.100
0.435 0.694 0.529
0.471 0.935 0.806
0.194 0.971 0.565
0.935 0.806 0.471
0.971 0.565 0.194
0.694 0.529 0.435
0.565 0.194 0.971
0.529 0.435 0.694
0.806 0.471 0.935
0.065 0.306 0.029
0.029 0.065 0.306
0.306 0.029 0.065
0.044 0.792 0.041
0.959 0.544 0.708
0.292 0.459 0.956
0.544 0.708 0.959
0.459 0.956 0.292
0.792 0.041 0.044
0.956 0.292 0.459
0.041 0.044 0.792
0.708 0.959 0.544
0.456 0.208 0.541
0.541 0.456 0.208
0.208 0.541 0.456
0.946 0.848 0.132
0.868 0.446 0.652
0.348 0.368 0.054
0.446 0.652 0.868
0.368 0.054 0.348
0.848 0.132 0.946
0.054 0.348 0.368
0.132 0.946 0.848
0.652 0.868 0.446
0.554 0.152 0.632
0.632 0.554 0.152
0.152 0.632 0.554
0.584 0.916 0.084
0.916 0.084 0.584
0.416 0.416 0.416
0.084 0.584 0.916
0.300 0.853 0.103
0.897 0.800 0.647
0.353 0.397 0.700
0.800 0.647 0.897
0.397 0.700 0.353
0.853 0.103 0.300
0.700 0.353 0.397
0.103 0.300 0.853
0.647 0.897 0.800
0.200 0.147 0.603
0.603 0.200 0.147
0.147 0.603 0.200
0.462 0.715 0.611
0.389 0.962 0.785
0.215 0.889 0.538
0.962 0.785 0.389
0.889 0.538 0.215
0.715 0.611 0.462
0.538 0.215 0.889
0.611 0.462 0.715
0.785 0.389 0.962
0.038 0.285 0.111
0.111 0.038 0.285
0.285 0.111 0.038
0.033 0.850 0.107
0.893 0.533 0.650
0.350 0.393 0.967
0.533 0.650 0.893
0.393 0.967 0.350
0.850 0.107 0.033
0.967 0.350 0.393
0.107 0.033 0.850
0.650 0.893 0.533
0.467 0.150 0.607
0.607 0.467 0.150
0.150 0.607 0.467
0.216 0.814 0.875
0.125 0.716 0.686
0.314 0.625 0.784
0.716 0.686 0.125
0.625 0.784 0.314
0.814 0.875 0.216
0.784 0.314 0.625
0.875 0.216 0.814
0.686 0.125 0.716
0.284 0.186 0.375
0.375 0.284 0.186
0.186 0.375 0.284
```

Calculated values
- E (MP2020): -5.455 eV/atom
- Energy of formation: -1543 meV/atom
- Space group: P2_13, No. 198

9.
Mg3Ta | PBE | optimized geometry

The structure in POSCAR format:
```
Mg3Ta
1.0
4.299 0.000 0.000
0.000 4.299 0.000
0.000 0.000 4.299
Mg Ta
3 1
Direct
0.500 0.500 0.000
0.500 0.000 0.500
0.000 0.500 0.500
0.000 0.000 0.000
```

Calculated values
- Energy of formation: 354 meV/atom
- Space group: Pm-3m, No. 221
- M_tot: 0.00 Bohr magnetons per cell

10.
ZnW2N2 | PBE | optimized geometry

The structure in POSCAR format:
```
ZnW2N2
1.0
-0.050 3.163 -0.794
-1.796 -0.690 -2.634
-5.961 0.869 3.837
Zn W N
1 2 2
Direct
0.000 0.000 0.000
0.500 0.500 0.678
0.500 0.500 0.322
0.500 0.000 0.178
0.000 0.500 0.822
```

Calculated values
- E (MP2020): -8.485 eV/atom
- Energy of formation: 285 meV/atom
- Space group: P-4m2, No. 115
- M_tot: 0.11 Bohr magnetons per cell

11.
Na3SmTi2Nb2O12 | PBE | optimized geometry

The structure in POSCAR format:
```
Na3SmTi2Nb2O12
1.0
5.493 0.000 0.000
0.025 5.587 0.000
0.005 0.016 7.832
Na Sm Ti Nb O
3 1 2 2 12
Direct
0.493 0.521 0.749
0.004 0.018 0.750
0.506 0.473 0.250
0.993 0.948 0.250
0.497 0.985 0.006
0.003 0.483 0.495
0.497 0.994 0.512
0.004 0.483 0.987
0.210 0.799 0.976
0.285 0.295 0.534
0.795 0.216 0.454
0.721 0.734 0.048
0.791 0.214 0.047
0.725 0.731 0.452
0.207 0.795 0.525
0.290 0.291 0.965
0.566 0.985 0.753
0.924 0.491 0.747
0.417 0.020 0.247
0.070 0.523 0.253
```

Calculated values
- Excess energy over the best structure of this formula in the dataset: 0.9 kJ per mole of atoms
- E (MP2020): -8.330 eV/atom
- Energy of formation: -3128 meV/atom
- Space group: P1, No. 1
- M_tot: 0.00 Bohr magnetons per cell

Question: Look up the energy of formation of the fourth one.
Answer: -952 meV/atom

Question: Among the records above, which one has the lowest energy of formation?
Answer: Al2O3

Question: Look up the energy of formation of the tenth one.
Answer: 285 meV/atom

Question: Number 4 is which compound?
Answer: YInPt2